1.
{
  "formula": "Nb5P4Pd4",
  "functional": "GGA-PBE",
  "state": "optimized geometry",
  "cell": [[-5.228, 5.228, 1.823], [5.228, -5.228, 1.823], [5.228, 5.228, -1.823]],
  "species": ["Nb", "Nb", "Nb", "Nb", "Nb", "P", "P", "P", "P", "Pd", "Pd", "Pd", "Pd"],
  "fractional_positions": [[0.000, 0.000, 0.000], [0.313, 0.623, 0.935], [0.377, 0.313, 0.690], [0.623, 0.687, 0.310], [0.687, 0.377, 0.065], [0.059, 0.757, 0.816], [0.243, 0.059, 0.302], [0.757, 0.941, 0.698], [0.941, 0.243, 0.184], [0.116, 0.404, 0.520], [0.404, 0.884, 0.289], [0.596, 0.116, 0.711], [0.884, 0.596, 0.480]],
  "e_form_ev_per_fu": -9.68
}

=====

2.
{
  "formula": "RbNaMg6",
  "functional": "GGA-PBE",
  "state": "optimized geometry",
  "cell": [[5.436, 0.000, 0.000], [0.000, 7.156, 0.000], [0.000, 0.000, 12.048]],
  "species": ["Rb", "Rb", "Na", "Na", "Mg", "Mg", "Mg", "Mg", "Mg", "Mg", "Mg", "Mg", "Mg", "Mg", "Mg", "Mg"],
  "fractional_positions": [[0.500, 0.500, 0.173], [0.500, 0.000, 0.673], [0.000, 0.500, 0.341], [0.000, 0.000, 0.841], [0.000, 0.221, 0.073], [0.000, 0.779, 0.073], [0.000, 0.500, 0.833], [0.500, 0.261, 0.923], [0.500, 0.739, 0.923], [0.500, 0.500, 0.663], [0.000, 0.721, 0.573], [0.000, 0.279, 0.573], [0.000, 0.000, 0.333], [0.500, 0.761, 0.423], [0.500, 0.239, 0.423], [0.500, 0.000, 0.163]],
  "e_form_ev_per_fu": 1.87
}